Ba3Mn2RuO9 | the Materials Project | PBE+U | relaxed; calculated formation energy = -2.36 eV per atom; total energy = -103.81 eV/f.u.
1.0
-7.543 0.752 2.620
-6.087 -4.854 1.927
-4.177 -1.897 6.579
Ba O Ru Mn
3 9 1 2
direct
0.217 0.217 0.217
0.783 0.783 0.783
0.998 0.998 0.998
0.499 0.005 0.499
0.705 0.705 0.257
0.257 0.705 0.705
0.499 0.499 0.005
0.742 0.294 0.294
0.705 0.257 0.705
0.005 0.499 0.499
0.294 0.742 0.294
0.294 0.294 0.742
0.382 0.382 0.382
0.618 0.618 0.618
0.501 0.501 0.501